Run 1
VASP calculation (PBE) on a relaxed Fe crystal.

Structure (extended XYZ):
```
2
Lattice="2.1889 0.3388 -0.9819 -0.8008 2.0655 -0.9812 1.0696 1.8556 3.0290" Properties=species:S:1:pos:R:3 pbc="T T T"
Fe 1.2289 2.1299 0.5329
Fe 0.0000 0.0000 0.0000
```



Run 2
VASP calculation (PBE) on a relaxed Fe crystal.

Structure (extended XYZ):
```
1
Lattice="-1.8873 0.8015 -1.1997 -0.1311 -2.0625 -1.1717 -1.4369 -0.8646 1.6827" Properties=species:S:1:pos:R:3 pbc="T T T"
Fe -1.7276 -1.0628 -0.3443
```



Run 3
VASP calculation (PBE) on a relaxed Fe crystal.

Structure (extended XYZ):
```
28
Lattice="8.6179 0.0000 0.0000 0.0000 8.6179 0.0000 0.0000 0.0000 4.5745" Properties=species:S:1:pos:R:3 pbc="T T T"
Fe 7.7984 0.8195 2.2872
Fe 0.8195 7.7984 2.2872
Fe 3.4895 3.4895 0.0000
Fe 5.1284 5.1284 0.0000
Fe 8.4534 3.1607 2.2872
Fe 0.1645 5.4572 2.2872
Fe 4.1444 1.1483 0.0000
Fe 4.4735 7.4696 0.0000
Fe 3.1607 8.4534 2.2872
Fe 5.4572 0.1645 2.2872
Fe 1.1483 4.1444 0.0000
Fe 7.4696 4.4735 0.0000
Fe 2.3332 4.0382 2.2872
Fe 6.2847 4.5797 2.2872
Fe 6.6421 0.2708 0.0000
Fe 1.9758 8.3471 0.0000
Fe 4.0382 2.3332 2.2872
Fe 4.5797 6.2847 2.2872
Fe 0.2708 6.6421 0.0000
Fe 8.3471 1.9758 0.0000
Fe 6.1651 2.4528 1.1236
Fe 2.4528 6.1651 1.1236
Fe 1.8562 1.8562 3.4108
Fe 6.7617 6.7617 3.4108
Fe 2.4528 6.1651 3.4509
Fe 6.1651 2.4528 3.4509
Fe 6.7617 6.7617 1.1637
Fe 1.8562 1.8562 1.1637
```



Stability summary: most stable run 1, least stable run 2.



Run 1
VASP calculation (PBE) on a relaxed Mg14GaFe crystal.

Structure (extended XYZ):
```
16
Lattice="6.2221 -0.0090 0.0000 -3.1188 5.4020 0.0000 0.0000 0.0000 10.0383" Properties=species:S:1:pos:R:3 pbc="T T T"
Mg 0.0043 1.8032 6.2739
Mg -1.5457 4.5096 6.2739
Mg 3.1428 1.8201 1.2548
Mg 3.1055 1.7841 6.2739
Mg 1.5882 4.5126 1.2548
Mg 1.5384 4.4984 6.2739
Mg 1.4929 0.9047 3.5734
Mg 1.4929 0.9047 8.9745
Mg -0.0295 3.5415 3.5734
Mg -0.0295 3.5415 8.9745
Mg 4.7152 0.9217 3.6605
Mg 4.7152 0.9217 8.8873
Mg 3.1156 3.5994 3.7640
Mg 3.1156 3.5994 8.7838
Ga -1.5925 4.4826 1.2548
Fe -0.0035 1.7987 1.2548
```



Run 2
VASP calculation (PBE) on a relaxed Mg14GaFe crystal.

Structure (extended XYZ):
```
16
Lattice="-0.5440 -2.9729 5.4830 -0.0952 -3.2537 -5.3481 9.7962 -0.9962 0.4317" Properties=species:S:1:pos:R:3 pbc="T T T"
Mg 1.0558 -3.3212 -3.4952
Mg 5.9514 -3.8392 -3.2672
Mg 0.8293 -3.2016 1.9208
Mg 5.7290 -3.6792 2.1479
Mg 0.7820 -4.8176 -0.7354
Mg 5.6811 -5.3163 -0.5429
Mg 3.3862 -1.8997 1.0020
Mg 8.4724 -2.4169 1.2261
Mg 3.3410 -3.4435 -1.5357
Mg 8.4272 -3.9608 -1.3115
Mg 3.1003 -3.4620 3.8833
Mg 8.1865 -3.9792 4.1075
Mg 3.1741 -5.0219 1.1664
Mg 8.0376 -5.5165 1.3807
Ga 6.0002 -2.2027 -0.5991
Fe 1.1021 -1.7046 -0.8149
```



Stability summary: most stable run 2, least stable run 1.



Run 1
VASP calculation (PBE) on a relaxed Ga2Fe2S5 crystal.

Structure (extended XYZ):
```
9
Lattice="0.7916 13.9721 -6.0678 -2.7185 14.0882 -5.1765 -0.1992 15.0041 -2.7388" Properties=species:S:1:pos:R:3 pbc="T T T"
Ga -1.5393 31.1794 -10.1240
Ga -0.5868 11.8850 -3.8591
Fe -0.2877 5.8283 -1.8925
Fe -1.8383 37.2361 -12.0906
S -1.3447 27.2383 -8.8443
S -0.4820 9.7624 -3.1699
S -0.7813 15.8261 -5.1388
S -1.6441 33.3020 -10.8132
S -1.0630 21.5322 -6.9915
```



Run 2
VASP calculation (PBE) on a relaxed Ga2Fe2S5 crystal.

Structure (extended XYZ):
```
18
Lattice="-2.7539 2.0974 -1.0231 -0.4962 -2.5207 2.5356 7.2699 19.8802 21.1865" Properties=species:S:1:pos:R:3 pbc="T T T"
Ga 5.3920 17.1783 20.7022
Ga -1.3721 2.2785 1.9967
Ga 1.0045 8.7776 8.9228
Ga 3.0154 10.6793 13.7762
Fe 5.1080 13.9682 14.8860
Fe 1.4730 4.0281 4.2928
Fe 5.7969 15.8521 16.8937
Fe 2.1619 5.9120 6.3004
S 0.4626 7.2957 7.3435
S 4.8953 19.4174 20.2617
S 3.5573 12.1611 15.3554
S 0.5687 3.9887 6.6460
S 2.0070 11.5189 11.8442
S -0.8754 0.0394 2.4372
S -0.8302 3.7604 3.5759
S 2.0129 7.9379 10.8547
S 4.8501 15.6964 19.1230
S 3.4511 15.4681 16.0530
```



Stability summary: most stable run 2, least stable run 1.



Run 1
VASP calculation (PBE) on a relaxed TbGa6Fe6 crystal.

Structure (extended XYZ):
```
13
Lattice="-2.7641 -0.5196 4.3571 3.6941 -0.1935 5.4067 0.9955 6.3616 -1.6961" Properties=species:S:1:pos:R:3 pbc="T T T"
Tb 0.0000 0.0000 0.0000
Ga 0.4650 -0.3566 4.8819
Ga 1.8471 -0.0967 2.7033
Ga 0.0711 3.6251 3.5637
Ga 1.8544 2.0233 4.5040
Ga 1.5560 2.2611 1.2568
Ga 0.3695 3.3873 6.8110
Fe 1.2011 0.8623 7.0374
Fe 0.7244 4.7861 1.0303
Fe 2.3650 4.5658 5.1312
Fe -0.4395 1.0826 2.9366
Fe -0.8843 2.9210 1.3305
Fe 0.4977 3.1808 -0.8480
```



Run 2
VASP calculation (PBE) on a relaxed TbGa6Fe6 crystal.

Structure (extended XYZ):
```
13
Lattice="-2.5739 4.3168 4.4130 2.5739 -4.3168 4.4130 2.5739 4.3168 -4.4130" Properties=species:S:1:pos:R:3 pbc="T T T"
Tb 0.0000 0.0000 0.0000
Ga 0.0000 4.3168 2.7594
Ga 0.0000 0.0000 5.7911
Ga 0.0000 0.0000 3.0349
Ga 0.0000 2.8843 0.0000
Ga 2.5739 0.0000 1.6536
Ga 0.0000 5.7494 0.0000
Fe 0.0000 2.2144 4.4130
Fe 2.5739 2.1024 0.0000
Fe 1.2869 2.1584 -2.2065
Fe -1.2869 2.1584 2.2065
Fe 1.2869 -2.1584 2.2065
Fe 1.2869 2.1584 2.2065
```



Stability summary: most stable run 2, least stable run 1.